Entry 1:
# Li6P8W3O29, optimized geometry, DFT PBE+U
data_Li6P8W3O29
_symmetry_space_group_name_H-M 'P 1'
_symmetry_Int_Tables_number 1
_symmetry_space_group_name_Hall 'P 1'
_cell_length_a 9.967
_cell_length_b 9.982
_cell_length_c 14.120
_cell_angle_alpha 89.63
_cell_angle_beta 89.55
_cell_angle_gamma 60.25
loop_
_atom_site_label
_atom_site_fract_x
_atom_site_fract_y
_atom_site_fract_z
_atom_site_occupancy
Li1 0.000 0.000 0.000 1
Li2 0.005 0.856 0.502 1
Li3 0.351 0.322 0.620 1
Li4 0.356 0.187 0.123 1
Li5 0.367 0.755 0.171 1
Li6 0.454 0.404 0.000 1
Li7 0.588 0.413 0.499 1
Li8 0.635 0.075 0.550 1
Li9 0.678 0.079 0.055 1
Li10 0.778 0.758 0.624 1
Li11 0.912 0.184 0.617 1
Li12 0.918 0.754 0.117 1
P1 0.012 0.426 0.683 1
P2 0.022 0.418 0.185 1
P3 0.345 0.753 0.937 1
P4 0.351 0.751 0.435 1
P5 0.372 0.313 0.404 1
P6 0.378 0.170 0.910 1
P7 0.460 0.404 0.218 1
P8 0.467 0.008 0.723 1
P9 0.602 0.396 0.713 1
P10 0.603 0.870 0.220 1
P11 0.761 0.304 0.902 1
P12 0.762 0.782 0.411 1
P13 0.906 0.780 0.904 1
P14 0.909 0.168 0.403 1
P15 0.995 0.864 0.718 1
P16 0.996 0.000 0.214 1
W1 0.118 0.089 0.811 1
W2 0.118 0.652 0.312 1
W3 0.247 0.523 0.809 1
W4 0.251 0.085 0.312 1
W5 0.679 0.653 0.814 1
W6 0.689 0.522 0.311 1
O1 0.001 0.283 0.721 1
O2 0.012 0.435 0.578 1
O3 0.016 0.009 0.716 1
O4 0.016 0.569 0.226 1
O5 0.018 0.835 0.217 1
O6 0.022 0.421 0.080 1
O7 0.056 0.178 0.397 1
O8 0.057 0.625 0.896 1
O9 0.153 0.717 0.726 1
O10 0.161 0.982 0.225 1
O11 0.166 0.413 0.725 1
O12 0.175 0.274 0.224 1
O13 0.190 0.895 0.903 1
O14 0.194 0.765 0.396 1
O15 0.217 0.464 0.399 1
O16 0.224 0.173 0.896 1
O17 0.311 0.012 0.728 1
O18 0.315 0.567 0.226 1
O19 0.349 0.174 0.400 1
O20 0.349 0.750 0.540 1
O21 0.351 0.744 0.043 1
O22 0.352 0.336 0.901 1
O23 0.357 0.599 0.897 1
O24 0.362 0.886 0.385 1
O25 0.437 0.010 0.215 1
O26 0.437 0.417 0.715 1
O27 0.457 0.316 0.132 1
O28 0.460 0.102 0.002 1
O29 0.466 0.304 0.491 1
O30 0.471 0.305 0.311 1
O31 0.478 0.105 0.645 1
O32 0.479 0.766 0.889 1
O33 0.488 0.074 0.823 1
O34 0.491 0.597 0.394 1
O35 0.588 0.722 0.223 1
O36 0.592 0.553 0.727 1
O37 0.602 0.425 0.219 1
O38 0.603 0.842 0.718 1
O39 0.668 0.887 0.322 1
O40 0.673 0.276 0.978 1
O41 0.686 0.316 0.623 1
O42 0.687 0.867 0.501 1
O43 0.694 0.285 0.800 1
O44 0.704 0.879 0.144 1
O45 0.759 0.457 0.902 1
O46 0.763 0.330 0.404 1
O47 0.767 0.626 0.401 1
O48 0.767 0.755 0.900 1
O49 0.871 0.576 0.728 1
O50 0.886 0.411 0.236 1
O51 0.894 0.884 0.812 1
O52 0.897 0.085 0.308 1
O53 0.900 0.871 0.991 1
O54 0.903 0.079 0.489 1
O55 0.905 0.866 0.632 1
O56 0.913 0.081 0.126 1
O57 0.928 0.759 0.404 1
O58 0.932 0.166 0.901 1
# Spin magnetization = 12.0 Bohr magnetons per cell
# Crystal system = triclinic
# E = -645.11 eV/cell

---

Entry 2:
# LiPW2O8, optimized geometry, DFT PBE+U
data_LiPW2O8
_symmetry_space_group_name_H-M 'P 1 21/m 1'
_symmetry_Int_Tables_number 11
_symmetry_space_group_name_Hall '-P 2yb'
_cell_length_a 6.805
_cell_length_b 5.444
_cell_length_c 9.228
_cell_angle_alpha 90.00
_cell_angle_beta 99.74
_cell_angle_gamma 90.00
loop_
_atom_site_label
_atom_site_fract_x
_atom_site_fract_y
_atom_site_fract_z
_atom_site_occupancy
Li1 0.203 0.250 0.124 1
P1 0.278 0.750 0.877 1
W1 0.142 0.250 0.411 1
W2 0.449 0.750 0.248 1
O1 0.000 0.000 0.500 1
O2 0.061 0.750 0.793 1
O3 0.257 0.750 0.043 1
O4 0.278 0.010 0.300 1
O5 0.363 0.250 0.581 1
O6 0.389 0.516 0.845 1
# Spin magnetization = 4.0 Bohr magnetons per cell
# Crystal system = monoclinic
# E = -172.52 eV/cell

---

Entry 3:
# LiP4WO12, optimized geometry, DFT PBE+U
data_LiP4WO12
_symmetry_space_group_name_H-M 'C 1 2/c 1'
_symmetry_Int_Tables_number 15
_symmetry_space_group_name_Hall '-C 2yc'
_cell_length_a 12.290
_cell_length_b 8.505
_cell_length_c 10.334
_cell_angle_alpha 90.00
_cell_angle_beta 119.15
_cell_angle_gamma 90.00
loop_
_atom_site_label
_atom_site_fract_x
_atom_site_fract_y
_atom_site_fract_z
_atom_site_occupancy
Li1 0.000 0.027 0.250 1
P1 0.008 0.264 0.974 1
P2 0.188 0.494 0.193 1
W1 0.250 0.250 0.500 1
O1 0.033 0.126 0.908 1
O2 0.053 0.250 0.428 1
O3 0.074 0.392 0.656 1
O4 0.136 0.361 0.068 1
O5 0.212 0.081 0.326 1
O6 0.229 0.427 0.342 1
# Spin magnetization = 12.0 Bohr magnetons per cell
# Crystal system = monoclinic
# E = -514.94 eV/cell

---

Entry 4:
# LiP4WO12, optimized geometry, DFT PBE+U
data_LiP4WO12
_symmetry_space_group_name_H-M 'P 1 21/c 1'
_symmetry_Int_Tables_number 14
_symmetry_space_group_name_Hall '-P 2ybc'
_cell_length_a 7.480
_cell_length_b 13.062
_cell_length_c 11.768
_cell_angle_alpha 90.00
_cell_angle_beta 126.45
_cell_angle_gamma 90.00
loop_
_atom_site_label
_atom_site_fract_x
_atom_site_fract_y
_atom_site_fract_z
_atom_site_occupancy
Li1 0.087 0.234 0.064 1
P1 0.054 0.093 0.772 1
P2 0.151 0.618 0.232 1
P3 0.428 0.624 0.809 1
P4 0.492 0.093 0.306 1
W1 0.468 0.197 0.937 1
O1 0.006 0.513 0.191 1
O2 0.027 0.687 0.109 1
O3 0.128 0.177 0.718 1
O4 0.180 0.620 0.764 1
O5 0.217 0.654 0.375 1
O6 0.237 0.084 0.930 1
O7 0.254 0.115 0.194 1
O8 0.375 0.669 0.073 1
O9 0.376 0.574 0.261 1
O10 0.418 0.627 0.678 1
O11 0.445 0.209 0.585 1
O12 0.471 0.016 0.615 1
# Spin magnetization = 12.0 Bohr magnetons per cell
# Crystal system = monoclinic
# E = -509.91 eV/cell

---

Entry 5:
# LiP4WO12, optimized geometry, DFT PBE+U
data_LiP4WO12
_symmetry_space_group_name_H-M 'C 1 2/c 1'
_symmetry_Int_Tables_number 15
_symmetry_space_group_name_Hall '-C 2yc'
_cell_length_a 15.803
_cell_length_b 7.462
_cell_length_c 9.773
_cell_angle_alpha 90.00
_cell_angle_beta 123.15
_cell_angle_gamma 90.00
loop_
_atom_site_label
_atom_site_fract_x
_atom_site_fract_y
_atom_site_fract_z
_atom_site_occupancy
Li1 0.000 0.189 0.250 1
P1 0.131 0.074 0.633 1
P2 0.143 0.328 0.173 1
W1 0.000 0.364 0.750 1
O1 0.070 0.408 0.212 1
O2 0.071 0.064 0.452 1
O3 0.104 0.202 0.721 1
O4 0.123 0.360 0.006 1
O5 0.145 0.120 0.217 1
O6 0.247 0.110 0.688 1
# Spin magnetization = 12.0 Bohr magnetons per cell
# Crystal system = monoclinic
# E = -514.01 eV/cell

---

Entry 6:
# LiP4WO12, optimized geometry, DFT PBE+U
data_LiP4WO12
_symmetry_space_group_name_H-M 'C 2 2 21'
_symmetry_Int_Tables_number 20
_symmetry_space_group_name_Hall 'C 2c 2'
_cell_length_a 9.731
_cell_length_b 11.683
_cell_length_c 18.256
_cell_angle_alpha 90.00
_cell_angle_beta 90.00
_cell_angle_gamma 90.00
loop_
_atom_site_label
_atom_site_fract_x
_atom_site_fract_y
_atom_site_fract_z
_atom_site_occupancy
Li1 0.148 0.047 0.355 1
P1 0.000 0.371 0.250 1
P2 0.036 0.258 0.987 1
P3 0.097 0.144 0.845 1
P4 0.141 0.500 0.000 1
P5 0.208 0.464 0.692 1
W1 0.237 0.198 0.619 1
O1 0.039 0.398 0.982 1
O2 0.051 0.101 0.648 1
O3 0.074 0.455 0.308 1
O4 0.099 0.221 0.058 1
O5 0.102 0.306 0.204 1
O6 0.111 0.221 0.521 1
O7 0.129 0.220 0.920 1
O8 0.147 0.208 0.782 1
O9 0.163 0.361 0.649 1
O10 0.188 0.031 0.863 1
O11 0.222 0.473 0.069 1
O12 0.232 0.050 0.266 1
# Spin magnetization = 24.0 Bohr magnetons per cell
# Crystal system = orthorhombic
# E = -1022.67 eV/cell

---

Entry 7:
# LiPWO5, optimized geometry, DFT PBE+U
data_LiPWO5
_symmetry_space_group_name_H-M 'C 1 2/c 1'
_symmetry_Int_Tables_number 15
_symmetry_space_group_name_Hall '-C 2yc'
_cell_length_a 14.056
_cell_length_b 5.458
_cell_length_c 10.864
_cell_angle_alpha 90.00
_cell_angle_beta 113.25
_cell_angle_gamma 90.00
loop_
_atom_site_label
_atom_site_fract_x
_atom_site_fract_y
_atom_site_fract_z
_atom_site_occupancy
Li1 0.000 0.000 0.000 1
Li2 0.250 0.250 0.000 1
P1 0.125 0.494 0.689 1
W1 0.000 0.006 0.250 1
W2 0.250 0.250 0.500 1
O1 0.056 0.261 0.657 1
O2 0.061 0.267 0.155 1
O3 0.125 0.033 0.423 1
O4 0.185 0.487 0.596 1
O5 0.197 0.491 0.839 1
# Spin magnetization = 16.0 Bohr magnetons per cell
# Crystal system = monoclinic
# E = -454.40 eV/cell

---

Entry 8:
# LiP2WO8, optimized geometry, DFT PBE+U
data_LiP2WO8
_symmetry_space_group_name_H-M 'P 1 21 1'
_symmetry_Int_Tables_number 4
_symmetry_space_group_name_Hall 'P 2yb'
_cell_length_a 5.289
_cell_length_b 7.341
_cell_length_c 8.038
_cell_angle_alpha 90.00
_cell_angle_beta 91.72
_cell_angle_gamma 90.00
loop_
_atom_site_label
_atom_site_fract_x
_atom_site_fract_y
_atom_site_fract_z
_atom_site_occupancy
Li1 0.123 0.000 0.212 1
P1 0.242 0.103 0.553 1
P2 0.276 0.729 0.942 1
W1 0.245 0.422 0.253 1
O1 0.010 0.094 0.674 1
O2 0.037 0.742 0.818 1
O3 0.225 0.956 0.425 1
O4 0.247 0.535 0.021 1
O5 0.249 0.301 0.479 1
O6 0.295 0.880 0.063 1
O7 0.476 0.086 0.677 1
O8 0.488 0.232 0.175 1
# Spin magnetization = 2.0 Bohr magnetons per cell
# Crystal system = monoclinic
# E = -170.69 eV/cell